{
  "formula": "ThSn2",
  "functional": "r2SCAN",
  "state": "relaxed",
  "lattice_angstrom": [[2.243, -8.724, 0.000], [2.243, 8.724, 0.000], [0.000, 0.000, 4.384]],
  "species": ["Th", "Th", "Sn", "Sn", "Sn", "Sn"],
  "fractional_positions": [[0.105, 0.895, 0.750], [0.895, 0.105, 0.250], [0.250, 0.750, 0.250], [0.442, 0.558, 0.750], [0.558, 0.442, 0.250], [0.750, 0.250, 0.750]],
  "formation_energy_ev_per_atom": -0.588,
  "dft_energy_ev_per_atom": -41.58
}

=====

{
  "formula": "Th5Sn3",
  "functional": "r2SCAN",
  "state": "relaxed",
  "lattice_angstrom": [[9.455, 0.000, 0.000], [-4.728, 8.188, 0.000], [0.000, 0.000, 6.485]],
  "species": ["Th", "Th", "Th", "Th", "Th", "Th", "Th", "Th", "Th", "Th", "Sn", "Sn", "Sn", "Sn", "Sn", "Sn"],
  "fractional_positions": [[0.000, 0.255, 0.250], [0.000, 0.745, 0.750], [0.255, 0.000, 0.250], [0.255, 0.255, 0.750], [0.333, 0.667, 0.000], [0.333, 0.667, 0.500], [0.667, 0.333, 0.000], [0.667, 0.333, 0.500], [0.745, 0.000, 0.750], [0.745, 0.745, 0.250], [0.000, 0.386, 0.750], [0.000, 0.614, 0.250], [0.386, 0.000, 0.750], [0.386, 0.386, 0.250], [0.614, 0.000, 0.250], [0.614, 0.614, 0.750]],
  "formation_energy_ev_per_atom": -0.567,
  "dft_energy_ev_per_atom": -55.77
}

=====

{
  "formula": "Ti5Sn3",
  "functional": "r2SCAN",
  "state": "relaxed",
  "lattice_angstrom": [[8.044, 0.000, 0.000], [-4.022, 6.966, 0.000], [0.000, 0.000, 5.426]],
  "species": ["Ti", "Ti", "Ti", "Ti", "Ti", "Ti", "Ti", "Ti", "Ti", "Ti", "Sn", "Sn", "Sn", "Sn", "Sn", "Sn"],
  "fractional_positions": [[0.000, 0.243, 0.250], [0.000, 0.757, 0.750], [0.243, 0.000, 0.250], [0.243, 0.243, 0.750], [0.333, 0.667, 0.000], [0.333, 0.667, 0.500], [0.667, 0.333, 0.000], [0.667, 0.333, 0.500], [0.757, 0.000, 0.750], [0.757, 0.757, 0.250], [0.000, 0.391, 0.750], [0.000, 0.609, 0.250], [0.391, 0.000, 0.750], [0.391, 0.391, 0.250], [0.609, 0.000, 0.250], [0.609, 0.609, 0.750]],
  "formation_energy_ev_per_atom": -0.382,
  "dft_energy_ev_per_atom": -17.75
}

=====

{
  "formula": "Ti6Sn5",
  "functional": "r2SCAN",
  "state": "relaxed",
  "lattice_angstrom": [[-2.851, 4.544, 8.302], [2.851, -4.544, 8.302], [2.851, 4.544, -8.302]],
  "species": ["Ti", "Ti", "Ti", "Ti", "Ti", "Ti", "Ti", "Ti", "Ti", "Ti", "Ti", "Ti", "Sn", "Sn", "Sn", "Sn", "Sn", "Sn", "Sn", "Sn", "Sn", "Sn"],
  "fractional_positions": [[0.000, 0.000, 0.500], [0.000, 0.500, 0.000], [0.141, 0.413, 0.728], [0.157, 0.157, 0.000], [0.315, 0.587, 0.728], [0.500, 0.000, 0.000], [0.500, 0.266, 0.766], [0.500, 0.500, 0.500], [0.500, 0.734, 0.234], [0.685, 0.413, 0.272], [0.843, 0.843, 0.000], [0.859, 0.587, 0.272], [0.000, 0.246, 0.246], [0.000, 0.754, 0.754], [0.202, 0.895, 0.307], [0.207, 0.707, 0.500], [0.330, 0.330, 0.000], [0.412, 0.105, 0.307], [0.588, 0.895, 0.693], [0.670, 0.670, 0.000], [0.793, 0.293, 0.500], [0.798, 0.105, 0.693]],
  "formation_energy_ev_per_atom": -0.368,
  "relative_energy_ev_per_fu": 0.28,
  "dft_energy_ev_per_atom": -18.67
}

=====

{
  "formula": "Ti6Sn5",
  "functional": "r2SCAN",
  "state": "relaxed",
  "lattice_angstrom": [[9.280, 0.000, 0.000], [-4.640, 8.037, 0.000], [0.000, 0.000, 5.691]],
  "species": ["Ti", "Ti", "Ti", "Ti", "Ti", "Ti", "Ti", "Ti", "Ti", "Ti", "Ti", "Ti", "Sn", "Sn", "Sn", "Sn", "Sn", "Sn", "Sn", "Sn", "Sn", "Sn"],
  "fractional_positions": [[0.000, 0.500, 0.000], [0.000, 0.500, 0.500], [0.156, 0.312, 0.250], [0.156, 0.844, 0.250], [0.312, 0.156, 0.750], [0.500, 0.000, 0.000], [0.500, 0.000, 0.500], [0.500, 0.500, 0.000], [0.500, 0.500, 0.500], [0.688, 0.844, 0.250], [0.844, 0.156, 0.750], [0.844, 0.688, 0.750], [0.000, 0.000, 0.000], [0.000, 0.000, 0.500], [0.205, 0.409, 0.750], [0.205, 0.795, 0.750], [0.333, 0.667, 0.250], [0.409, 0.205, 0.250], [0.591, 0.795, 0.750], [0.667, 0.333, 0.750], [0.795, 0.205, 0.250], [0.795, 0.591, 0.250]],
  "formation_energy_ev_per_atom": -0.393,
  "relative_energy_ev_per_fu": 0.00,
  "dft_energy_ev_per_atom": -18.70
}

=====

{
  "formula": "Ti3Sn",
  "functional": "r2SCAN",
  "state": "relaxed",
  "lattice_angstrom": [[4.157, 0.000, 0.000], [0.000, 4.157, 0.000], [0.000, 0.000, 4.157]],
  "species": ["Ti", "Ti", "Ti", "Sn"],
  "fractional_positions": [[0.000, 0.000, 0.500], [0.000, 0.500, 0.000], [0.500, 0.000, 0.000], [0.500, 0.500, 0.500]],
  "formation_energy_ev_per_atom": -0.286,
  "dft_energy_ev_per_atom": -16.18
}

=====

{
  "formula": "Ti3Sn",
  "functional": "r2SCAN",
  "state": "relaxed",
  "lattice_angstrom": [[2.866, -5.249, 0.000], [2.866, 5.249, 0.000], [0.000, 0.000, 4.741]],
  "species": ["Ti", "Ti", "Ti", "Ti", "Ti", "Ti", "Sn", "Sn"],
  "fractional_positions": [[0.168, 0.314, 0.750], [0.179, 0.821, 0.750], [0.314, 0.168, 0.250], [0.686, 0.832, 0.750], [0.821, 0.179, 0.250], [0.832, 0.686, 0.250], [0.333, 0.667, 0.250], [0.667, 0.333, 0.750]],
  "formation_energy_ev_per_atom": -0.319,
  "dft_energy_ev_per_atom": -16.21
}

=====

{
  "formula": "TlSn3",
  "functional": "r2SCAN",
  "state": "relaxed",
  "lattice_angstrom": [[6.735, 0.000, 0.000], [-3.368, 5.833, 0.000], [0.000, 0.000, 5.847]],
  "species": ["Tl", "Tl", "Sn", "Sn", "Sn", "Sn", "Sn", "Sn"],
  "fractional_positions": [[0.333, 0.667, 0.250], [0.667, 0.333, 0.750], [0.156, 0.312, 0.750], [0.156, 0.844, 0.750], [0.312, 0.156, 0.250], [0.688, 0.844, 0.750], [0.844, 0.156, 0.250], [0.844, 0.688, 0.250]],
  "formation_energy_ev_per_atom": 0.207,
  "dft_energy_ev_per_atom": -31.65
}